Record 1
The following is a PBE calculation of a relaxed NbIn3SiS5O24 crystal, from the Materials Project database.

Lattice parameters (Å, degrees): 8.8992 8.9485 23.1880 90.16 90.15 119.99
Fractional coordinates of all 102 atoms:
O  0.3548  0.4906  0.3662
O  0.8534  0.5341  0.7417
O  0.8295  0.0319  0.0873
O  0.2134  0.0326  0.3092
O  0.4720  0.3137  0.0318
O  0.0378  0.8145  0.6963
O  0.6320  0.1229  0.4199
O  0.9757  0.7901  0.7997
O  0.4933  0.3678  0.4214
S  0.7055  0.7091  0.2511
O  0.1321  0.4875  0.5759
S  0.3791  0.3338  0.0825
O  0.9488  0.7817  0.0840
O  0.6463  0.1210  0.1358
O  0.5240  0.6837  0.2639
O  0.3097  0.4577  0.4705
O  0.8497  0.3014  0.5305
O  0.4700  0.3230  0.7416
O  0.1633  0.6938  0.7590
O  0.8766  0.5005  0.4205
S  0.6691  0.0443  0.0825
Si  0.6245  0.6697  0.9201
O  0.3715  0.8728  0.8654
Si  0.2902  0.0099  0.2494
O  0.6378  0.5181  0.6349
In  0.6686  0.3348  0.6855
In  0.9974  0.9989  0.6485
O  0.1508  0.6946  0.4693
O  0.6230  0.4824  0.9305
Nb  0.3300  0.6564  0.8174
S  0.0053  0.7095  0.7494
O  0.5078  0.8604  0.3648
O  0.8375  0.5186  0.0313
O  0.7705  0.9598  0.6958
O  0.8231  0.7982  0.5906
S  0.0012  0.2959  0.2514
In  0.9933  0.9979  0.8557
O  0.1767  0.2095  0.4114
O  0.7951  0.9732  0.4056
In  0.3351  0.6674  0.5207
Si  0.0481  0.3775  0.9196
O  0.4823  0.1196  0.6349
O  0.8627  0.3357  0.2428
O  0.1641  0.9493  0.1937
S  0.3733  0.0411  0.5829
O  0.6824  0.5376  0.2425
In  0.0089  0.0040  0.3519
O  0.9646  0.1884  0.3031
O  0.2001  0.0229  0.5906
S  0.3382  0.9554  0.9172
O  0.8811  0.3626  0.6347
S  0.3333  0.3804  0.4170
O  0.1856  0.2236  0.6967
O  0.0418  0.2265  0.2001
O  0.1388  0.5101  0.8613
O  0.5006  0.1268  0.9252
O  0.3081  0.4691  0.7594
S  0.9591  0.3321  0.5828
O  0.1645  0.4706  0.2648
S  0.2926  0.2942  0.7498
O  0.5477  0.7096  0.9750
O  0.2079  0.1734  0.0846
O  0.8732  0.5149  0.1357
O  0.8531  0.3609  0.9290
O  0.4872  0.1581  0.2432
Nb  0.6710  0.3375  0.9742
O  0.0248  0.1978  0.9027
O  0.5258  0.8434  0.7597
O  0.1379  0.6442  0.3658
O  0.4913  0.6359  0.8622
O  0.2146  0.1846  0.7999
In  0.6582  0.3247  0.1869
S  0.0440  0.6641  0.4168
In  0.0068  0.9968  0.1434
S  0.7003  0.9971  0.7490
O  0.4516  0.1482  0.5306
S  0.9495  0.6169  0.0829
O  0.5493  0.8511  0.4681
O  0.4810  0.3601  0.1359
O  0.3042  0.8544  0.9693
O  0.8078  0.7864  0.3039
Nb  0.3323  0.6743  0.3095
O  0.6787  0.1497  0.7407
O  0.1244  0.6430  0.0762
O  0.1954  0.9856  0.9042
O  0.5126  0.8744  0.0762
O  0.6887  0.1547  0.0313
S  0.6240  0.9545  0.4156
O  0.5120  0.6437  0.5764
O  0.9765  0.1774  0.5905
O  0.0195  0.8125  0.4094
O  0.8148  0.8056  0.9028
S  0.6680  0.6259  0.5830
O  0.3093  0.8296  0.2662
O  0.3604  0.4868  0.0781
In  0.3369  0.6646  0.0213
O  0.8148  0.0315  0.7987
O  0.6977  0.5477  0.5307
In  0.6651  0.3320  0.4781
O  0.7693  0.8205  0.2003
O  0.3562  0.8685  0.5757
O  0.1508  0.4660  0.9763



Record 2
The following is a PBE calculation of a relaxed Te2WCl6 crystal, from the Materials Project database.

Computed properties:
energy relative to the lowest polymorph listed for this composition	0.0000	eV/atom

Lattice parameters (Å, degrees): 13.3152 6.9794 13.0338 84.52 90.00 90.00
Fractional coordinates of all 36 atoms:
Cl  0.8104  0.6954  0.5014
W  0.8656  0.6428  0.6692
W  0.6344  0.6428  0.1692
Cl  0.7242  0.9219  0.2092
Cl  0.0065  0.8277  0.6339
Cl  0.0533  0.6359  0.3665
Te  0.9537  0.8390  0.1212
W  0.3656  0.3572  0.8308
Cl  0.5533  0.3641  0.1335
Cl  0.5797  0.5881  0.3433
Cl  0.9467  0.3641  0.6335
Te  0.0463  0.1610  0.8788
Cl  0.1896  0.3046  0.4986
Te  0.1256  0.8566  0.0031
W  0.1344  0.3572  0.3308
Te  0.6256  0.1434  0.4969
Cl  0.4935  0.8277  0.1339
Cl  0.2242  0.0781  0.2908
Cl  0.7791  0.4676  0.2170
Cl  0.9203  0.5881  0.8433
Cl  0.7758  0.9219  0.7092
Cl  0.9935  0.1723  0.3661
Te  0.4537  0.1610  0.3788
Cl  0.6896  0.6954  0.0014
Cl  0.2758  0.0781  0.7908
Cl  0.2791  0.5324  0.2830
Cl  0.2209  0.5324  0.7830
Cl  0.5065  0.1723  0.8661
Cl  0.3104  0.3046  0.9986
Cl  0.0797  0.4119  0.1567
Te  0.8744  0.1434  0.9969
Te  0.3744  0.8566  0.5031
Te  0.5463  0.8390  0.6212
Cl  0.4467  0.6359  0.8665
Cl  0.4203  0.4119  0.6567
Cl  0.7209  0.4676  0.7170



Record 3
The following is a PBE calculation of a relaxed Ti6Ga16Ir7 crystal, from the Materials Project database.

Lattice parameters (Å, degrees): 8.6348 8.6348 8.6348 60.00 60.00 60.00
Fractional coordinates of all 29 atoms:
Ti  0.3038  0.3038  0.6962
Ga  0.6468  0.6468  0.6468
Ga  0.3532  0.3532  0.3532
Ir  0.0000  0.0000  0.5000
Ir  0.0000  0.5000  0.0000
Ga  0.1232  0.1232  0.6305
Ir  0.5000  0.5000  0.0000
Ga  0.3532  0.3532  0.9403
Ga  0.1232  0.6305  0.1232
Ga  0.3695  0.8768  0.8768
Ti  0.6962  0.3038  0.6962
Ga  0.8768  0.8768  0.8768
Ga  0.6468  0.0597  0.6468
Ti  0.6962  0.6962  0.3038
Ti  0.3038  0.6962  0.6962
Ga  0.0597  0.6468  0.6468
Ga  0.3532  0.9403  0.3532
Ga  0.9403  0.3532  0.3532
Ir  0.0000  0.0000  0.0000
Ir  0.5000  0.0000  0.5000
Ga  0.1232  0.1232  0.1232
Ir  0.5000  0.0000  0.0000
Ga  0.8768  0.3695  0.8768
Ti  0.3038  0.6962  0.3038
Ir  0.0000  0.5000  0.5000
Ga  0.6305  0.1232  0.1232
Ga  0.6468  0.6468  0.0597
Ti  0.6962  0.3038  0.3038
Ga  0.8768  0.8768  0.3695



Record 4
The following is a PBE calculation of a relaxed Sr2Sb2Se3O2 crystal, from the Materials Project database.

Lattice parameters (Å, degrees): 9.7002 4.0586 13.6168 90.00 124.05 90.00
Fractional coordinates of all 18 atoms:
Se  0.5000  0.0000  0.0000
O  0.1524  0.9884  0.3125
Sb  0.6450  0.4879  0.1915
O  0.1524  0.5116  0.8125
Se  0.2093  0.4928  0.1324
Se  0.7907  0.9928  0.3676
Se  0.7907  0.5072  0.8676
Sb  0.6450  0.0121  0.6915
Sr  0.8922  0.9858  0.1018
Sr  0.1078  0.0142  0.8982
O  0.8476  0.0116  0.6875
Sr  0.8922  0.5142  0.6018
Se  0.2093  0.0072  0.6324
Sb  0.3550  0.9879  0.3085
Sb  0.3550  0.5121  0.8085
O  0.8476  0.4884  0.1875
Sr  0.1078  0.4858  0.3982
Se  0.5000  0.5000  0.5000



Record 5
The following is a PBE calculation of a relaxed NiS4N4 crystal, from the Materials Project database.

Lattice parameters (Å, degrees): 14.7369 8.5315 12.9801 89.15 90.00 90.00
Fractional coordinates of all 72 atoms:
N  0.1194  0.5828  0.3314
N  0.8621  0.6813  0.7722
N  0.1338  0.8633  0.7261
N  0.3621  0.8187  0.2278
S  0.1291  0.0395  0.6996
S  0.8649  0.8555  0.8008
N  0.1341  0.6124  0.5316
N  0.8662  0.1367  0.2739
Ni  0.1269  0.3719  0.3638
N  0.6121  0.3555  0.1991
S  0.1225  0.7004  0.4205
N  0.6239  0.9065  0.1706
S  0.8847  0.8683  0.5944
N  0.6379  0.1813  0.7722
N  0.6198  0.4684  0.7005
S  0.3634  0.9230  0.5224
N  0.6334  0.9442  0.9699
S  0.6225  0.7996  0.5795
Ni  0.6239  0.6975  0.1377
N  0.3802  0.5316  0.2995
S  0.6301  0.7547  0.9785
N  0.3659  0.1124  0.5316
Ni  0.8731  0.6281  0.6362
S  0.6351  0.3555  0.8008
S  0.3724  0.9724  0.9186
Ni  0.6269  0.1281  0.6362
S  0.3916  0.5380  0.9062
S  0.3699  0.2453  0.0215
N  0.8666  0.4442  0.9699
N  0.6194  0.9172  0.6686
Ni  0.3761  0.3025  0.8623
S  0.1366  0.4230  0.5224
N  0.3806  0.0828  0.3314
S  0.8775  0.2996  0.5795
S  0.1276  0.4724  0.9186
S  0.3709  0.5395  0.6996
S  0.6366  0.0770  0.4776
N  0.8802  0.9684  0.7005
N  0.3662  0.3633  0.7261
S  0.3775  0.2004  0.4205
S  0.3649  0.6445  0.1992
S  0.3847  0.6317  0.4056
Ni  0.8761  0.1975  0.1377
S  0.6153  0.3683  0.5944
N  0.8879  0.8555  0.1991
S  0.8709  0.9605  0.3004
N  0.3666  0.0558  0.0301
N  0.1379  0.3187  0.2278
N  0.1121  0.1445  0.8009
N  0.1198  0.0316  0.2995
S  0.8634  0.5770  0.4776
Ni  0.1239  0.8025  0.8623
N  0.1239  0.5935  0.8294
S  0.8916  0.9620  0.0938
N  0.8659  0.3876  0.4684
N  0.8761  0.4065  0.1706
N  0.3879  0.6445  0.8009
S  0.6276  0.0276  0.0814
S  0.1084  0.0380  0.9062
S  0.6084  0.4620  0.0938
N  0.3761  0.0935  0.8294
N  0.6341  0.8876  0.4684
S  0.8699  0.2547  0.9785
S  0.6291  0.4605  0.3004
S  0.1153  0.1317  0.4056
N  0.1334  0.5558  0.0301
S  0.8724  0.5276  0.0814
S  0.1301  0.7453  0.0215
N  0.8806  0.4172  0.6686
Ni  0.3731  0.8719  0.3638
S  0.1351  0.1445  0.1992
N  0.6338  0.6367  0.2739



Record 6
The following is a PBE calculation of a relaxed K3AlH6 crystal, from the Materials Project database.

Lattice parameters (Å, degrees): 6.2034 6.2034 6.2034 123.71 123.71 83.69
Fractional coordinates of all 10 atoms:
H  0.2958  0.0000  0.2958
K  0.7500  0.2500  0.5000
Al  0.0000  0.0000  0.0000
H  0.0000  0.2958  0.2958
K  0.5000  0.5000  0.0000
H  0.2093  0.2093  0.0000
H  0.7907  0.7907  0.0000
H  0.0000  0.7042  0.7042
H  0.7042  0.0000  0.7042
K  0.2500  0.7500  0.5000



Record 7
The following is a PBE calculation of a relaxed KCNO crystal, from the Materials Project database.

Lattice parameters (Å, degrees): 6.1428 5.6600 5.5892 66.19 57.46 56.35
Fractional coordinates of all 8 atoms:
C  0.5000  0.5000  0.5000
O  0.1368  0.8632  0.1368
N  0.6423  0.6423  0.3577
K  0.2500  0.2500  0.2500
C  0.0000  0.0000  0.0000
N  0.3577  0.3577  0.6423
K  0.7500  0.7500  0.7500
O  0.8632  0.1368  0.8632



Record 8
The following is a PBE calculation of a relaxed Sn5S4Cl2 crystal, from the Materials Project database.

Computed properties:
energy relative to the lowest polymorph listed for this composition	0.0000	eV/atom

Lattice parameters (Å, degrees): 5.8861 5.9788 18.0361 90.00 90.00 90.00
Fractional coordinates of all 22 atoms:
Sn  0.7512  0.8684  0.5756
Cl  0.7632  0.9407  0.7500
S  0.2603  0.3431  0.0803
Sn  0.2563  0.3638  0.2500
Sn  0.7512  0.8684  0.9244
Cl  0.7016  0.3593  0.2500
S  0.2499  0.8873  0.5709
Sn  0.7437  0.3638  0.7500
S  0.7501  0.8873  0.0709
S  0.2603  0.3431  0.4197
Sn  0.7428  0.3326  0.0747
Sn  0.2572  0.3326  0.5747
Sn  0.2572  0.3326  0.9253
S  0.7397  0.3431  0.5803
Sn  0.2488  0.8684  0.0756
Cl  0.2368  0.9407  0.2500
S  0.7501  0.8873  0.4291
S  0.2499  0.8873  0.9291
Sn  0.7428  0.3326  0.4253
Cl  0.2984  0.3593  0.7500
Sn  0.2488  0.8684  0.4244
S  0.7397  0.3431  0.9197



Record 9
The following is a PBE calculation of a relaxed DyGa2Ni crystal, from the Materials Project database.

Lattice parameters (Å, degrees): 5.4143 5.4143 6.5645 90.00 90.00 135.10
Fractional coordinates of all 8 atoms:
Ga  0.8593  0.1407  0.4469
Ga  0.1407  0.8593  0.9469
Dy  0.4242  0.5758  0.7500
Ni  0.7060  0.2940  0.7500
Dy  0.5758  0.4242  0.2500
Ni  0.2940  0.7060  0.2500
Ga  0.1407  0.8593  0.5531
Ga  0.8593  0.1407  0.0531



Number 1: calculated formation energy -2099 meV/atom. Number 2: calculated formation energy -1051 meV/atom. Number 3: calculated formation energy -497 meV/atom. Number 4: calculated formation energy -1672 meV/atom. Number 5: calculated formation energy 343 meV/atom. Number 6: calculated formation energy -260 meV/atom. Number 7: calculated formation energy -914 meV/atom. Number 8: calculated formation energy -845 meV/atom. Number 9: calculated formation energy -647 meV/atom.